Record 1
Below is AgI after structural relaxation, with properties calculated at the PBE level.

a = 4.3621 Å, b = 4.3621 Å, c = 4.3621 Å
α = 60.00°, β = 60.00°, γ = 60.00°
Closest atoms and distances in Å follow each position.
Element x y z (fractional)
Ag 0.0000 0.0000 0.0000  6 I 3.08
I 0.5000 0.5000 0.5000  6 Ag 3.08

Values from the calculation:
Symmetry   No. 225
DFT total energy   -2.367 eV/atom
Energy relative to the elements   -377.9 meV/atom

Record 2
Below is Mg7Si8O24 after structural relaxation, with properties calculated at the PBE level.

a = 10.3580 Å, b = 10.3580 Å, c = 5.3621 Å
α = 84.35°, β = 84.35°, γ = 124.81°
Closest atoms and distances in Å follow each position.
Element x y z (fractional)
Mg 0.7444 0.2556 0.5000  4 O 2.01-2.08
Mg 0.2556 0.7444 0.5000  4 O 2.01-2.08
Mg 0.8217 0.1783 0.0000  6 O 2.05-2.16
Mg 0.1783 0.8217 0.0000  6 O 2.05-2.16
Mg 0.0000 0.0000 0.0000  6 O 2.08-2.12
Mg 0.9083 0.0917 0.5000  6 O 2.06-2.11
Mg 0.0917 0.9083 0.5000  6 O 2.06-2.11
Si 0.6291 0.7972 0.2743  4 O 1.63-1.64
Si 0.3709 0.2028 0.7257  4 O 1.63-1.64
Si 0.2028 0.3709 0.7257  4 O 1.63-1.64
Si 0.7972 0.6291 0.2743  4 O 1.63-1.64
Si 0.4679 0.1285 0.2199  4 O 1.61-1.67
Si 0.5321 0.8715 0.7801  4 O 1.61-1.67
Si 0.8715 0.5321 0.7801  4 O 1.61-1.67
Si 0.1285 0.4679 0.2199  4 O 1.61-1.67
O 0.4692 0.2309 0.4421  2 Si 1.64-1.67
O 0.5308 0.7691 0.5579  2 Si 1.64-1.67
O 0.7691 0.5308 0.5579  2 Si 1.64-1.67
O 0.2309 0.4692 0.4421  2 Si 1.64-1.67
O 0.6578 0.6578 0.2699  2 Si 1.63
O 0.3422 0.3422 0.7301  2 Si 1.63
O 0.9066 0.9066 0.6847  3 Mg 2.06-2.08
O 0.0934 0.0934 0.3153  3 Mg 2.06-2.08
O 0.5183 0.7831 0.0655  2 Si 1.64-1.65
O 0.4817 0.2169 0.9345  2 Si 1.64-1.65
O 0.2169 0.4817 0.9345  2 Si 1.64-1.65
O 0.7831 0.5183 0.0655  2 Si 1.64-1.65
O 0.6270 0.1363 0.2321  1 Si 1.61
O 0.3730 0.8637 0.7679  1 Si 1.61
O 0.8637 0.3730 0.7679  1 Si 1.61
O 0.1363 0.6270 0.2321  1 Si 1.61
O 0.7995 0.9746 0.2071  1 Si 1.63
O 0.2005 0.0254 0.7929  1 Si 1.63
O 0.0254 0.2005 0.7929  1 Si 1.63
O 0.9746 0.7995 0.2071  1 Si 1.63
O 0.2975 0.9475 0.2851  1 Si 1.65
O 0.7025 0.0525 0.7149  1 Si 1.65
O 0.0525 0.7025 0.7149  1 Si 1.65
O 0.9475 0.2975 0.2851  1 Si 1.65

Values from the calculation:
Symmetry   No. 12
DFT total energy   -7.122 eV/atom
Energy relative to the elements   -3099.5 meV/atom

Record 3
Below is In2Co21B6 after structural relaxation, with properties calculated at the PBE level.

a = 7.4730 Å, b = 7.4730 Å, c = 7.4730 Å
α = 60.00°, β = 60.00°, γ = 60.00°
Closest atoms and distances in Å follow each position.
Element x y z (fractional)
In 0.7500 0.7500 0.7500  4 Co 2.50
In 0.2500 0.2500 0.2500  4 Co 2.50
Co 0.0000 0.0000 0.0000  12 Co 2.50
Co 0.6135 0.6135 0.1595  3 B 2.06
Co 0.6135 0.1595 0.6135  3 B 2.06
Co 0.1595 0.6135 0.6135  3 B 2.06
Co 0.6135 0.6135 0.6135  3 B 2.06
Co 0.3865 0.3865 0.8405  3 B 2.06
Co 0.3865 0.8405 0.3865  3 B 2.06
Co 0.8405 0.3865 0.3865  3 B 2.06
Co 0.3865 0.3865 0.3865  3 B 2.06
Co 0.0000 0.0000 0.3349  2 B 2.11
Co 0.6651 0.0000 0.3349  2 B 2.11
Co 0.0000 0.6651 0.3349  2 B 2.11
Co 0.6651 0.3349 0.0000  2 B 2.11
Co 0.0000 0.3349 0.0000  2 B 2.11
Co 0.0000 0.3349 0.6651  2 B 2.11
Co 0.3349 0.6651 0.0000  2 B 2.11
Co 0.3349 0.0000 0.6651  2 B 2.11
Co 0.3349 0.0000 0.0000  2 B 2.11
Co 0.0000 0.0000 0.6651  2 B 2.11
Co 0.0000 0.6651 0.0000  2 B 2.11
Co 0.6651 0.0000 0.0000  2 B 2.11
B 0.7237 0.7237 0.2763  8 Co 2.06-2.11
B 0.2763 0.7237 0.2763  8 Co 2.06-2.11
B 0.7237 0.2763 0.2763  8 Co 2.06-2.11
B 0.2763 0.2763 0.7237  8 Co 2.06-2.11
B 0.7237 0.2763 0.7237  8 Co 2.06-2.11
B 0.2763 0.7237 0.7237  8 Co 2.06-2.11

Values from the calculation:
Symmetry   No. 225
DFT total energy   -6.857 eV/atom
Energy relative to the elements   -137.8 meV/atom